Entry from the Materials Project: a geometry-optimized La2Co2Se2O3 structure (PBE with a Hubbard U).

## Properties
DFT formation energy: -2.14 eV/atom
Volume: 17.3 Å³/atom
Electronic total energy: -6.652 eV per atom

a b c (Å): 4.0995 4.0995 18.5711
angles (deg): 90.00 90.00 90.00
Last column: nearest neighbours and their distance in Å.
Space group I4/mmm (No. 139)
Symmetry-distinct sites (fractional):
La (0.0000, 0.0000, 0.1842)  4 O 2.39
Co (0.0000, 0.5000, 0.0000)  2 O 2.05
Se (0.0000, 0.0000, 0.4045)  4 Co 2.71
O (0.0000, 0.0000, 0.0000)  4 Co 2.05
O (0.0000, 0.5000, 0.2500)  4 La 2.39

Entry from the Materials Project: a geometry-optimized La2CoSiO2 structure (PBE with a Hubbard U).

## Properties
DFT formation energy: -1.74 eV/atom
Volume: 17.8 Å³/atom
Electronic total energy: -6.620 eV per atom

a b c (Å): 3.9267 3.9267 6.9254
angles (deg): 90.00 90.00 90.00
Last column: nearest neighbours and their distance in Å.
Space group P4/mmm (No. 123)
Symmetry-distinct sites (fractional):
La (0.0000, 0.0000, 0.2406)  4 O 2.58
Co (0.5000, 0.5000, 0.0000)  4 O 1.96
Si (0.5000, 0.5000, 0.5000)  8 La 3.31, 2 Co 3.46
O (0.0000, 0.5000, 0.0000)  2 Co 1.96

Entry from the Materials Project: a geometry-optimized LaSmCo2O6 structure (PBE with a Hubbard U).

## Properties
DFT formation energy: -2.49 eV/atom
Volume: 10.9 Å³/atom
Electronic total energy: -7.110 eV per atom

a b c (Å): 7.5715 7.5715 7.5727
angles (deg): 90.00 90.00 90.00
Last column: nearest neighbours and their distance in Å.
Space group P4/mmm (No. 123)
Symmetry-distinct sites (fractional):
La (0.0000, 0.0000, 0.0000)  12 O 2.70
La (0.0000, 0.5000, 0.0000)  12 O 2.68-2.70
La (0.5000, 0.5000, 0.5000)  12 O 2.68-2.70
Sm (0.0000, 0.0000, 0.5000)  12 O 2.65
Sm (0.0000, 0.5000, 0.5000)  12 O 2.65-2.68
Sm (0.5000, 0.5000, 0.0000)  12 O 2.65-2.68
Co (0.2500, 0.2500, 0.2503)  6 O 1.89-1.90
O (0.0000, 0.2500, 0.2545)  2 Co 1.89
O (0.2479, 0.2479, 0.5000)  2 Co 1.89
O (0.2500, 0.5000, 0.2501)  2 Co 1.89
O (0.2522, 0.2522, 0.0000)  2 Co 1.90

Entry from the Materials Project: a geometry-optimized LaSmCo2O5 structure (PBE with a Hubbard U).

## Properties
DFT formation energy: -2.61 eV/atom
Volume: 13.5 Å³/atom
Electronic total energy: -7.262 eV per atom

a b c (Å): 10.8386 11.5510 17.4105
angles (deg): 109.32 108.12 90.02
Last column: nearest neighbours and their distance in Å.
Space group P1 (No. 1)
Symmetry-distinct sites (fractional):
La (0.0000, 0.0000, 0.0000)  5 O 2.36-2.59
La (0.0010, 0.4998, 0.0028)  5 O 2.35-2.59
La (0.1389, 0.6381, 0.7770)  5 O 2.35-2.60
La (0.1399, 0.1372, 0.7780)  5 O 2.35-2.58
La (0.1407, 0.1400, 0.2807)  5 O 2.34-2.58
La (0.2512, 0.7724, 0.0010)  5 O 2.36-2.61
La (0.2544, 0.2719, 0.0023)  5 O 2.34-2.57
La (0.3910, 0.4102, 0.7782)  5 O 2.36-2.58
La (0.3929, 0.9105, 0.7768)  5 O 2.34-2.56
La (0.3947, 0.9099, 0.2817)  5 O 2.34-2.54
La (0.5021, 0.0001, 0.0007)  5 O 2.37-2.58
La (0.5041, 0.5006, 0.0032)  5 O 2.34-2.58
La (0.6407, 0.6387, 0.7772)  5 O 2.35-2.58
La (0.6437, 0.1407, 0.2807)  5 O 2.33-2.55
La (0.7521, 0.7726, 0.0030)  5 O 2.34-2.57
La (0.8896, 0.4099, 0.7780)  5 O 2.34-2.59
Sm (0.0041, 0.4968, 0.4974)  5 O 2.30-2.51
Sm (0.0047, 0.9961, 0.4992)  5 O 2.28-2.48
Sm (0.1451, 0.6388, 0.2839)  5 O 2.29-2.49
Sm (0.2542, 0.7732, 0.4985)  5 O 2.28-2.50
Sm (0.2549, 0.2732, 0.4994)  5 O 2.29-2.49
Sm (0.3969, 0.4167, 0.2835)  5 O 2.29-2.51
Sm (0.5045, 0.4957, 0.4986)  5 O 2.29-2.50
Sm (0.5070, 0.9988, 0.5024)  5 O 2.29-2.48
Sm (0.6447, 0.1373, 0.7814)  5 O 2.30-2.49
Sm (0.6501, 0.6387, 0.2847)  5 O 2.31-2.48
Sm (0.7526, 0.2736, 0.9996)  5 O 2.30-2.51
Sm (0.7552, 0.2740, 0.4998)  5 O 2.29-2.52
Sm (0.7578, 0.7735, 0.5003)  5 O 2.28-2.51
Sm (0.8908, 0.9144, 0.7791)  5 O 2.31-2.51
Sm (0.8947, 0.9126, 0.2828)  5 O 2.30-2.49
Sm (0.8957, 0.4162, 0.2812)  5 O 2.26-2.52
Co (0.0870, 0.7975, 0.6367)  4 O 1.92-2.07
Co (0.0882, 0.2965, 0.6361)  4 O 1.94-2.07
Co (0.0891, 0.7987, 0.1432)  4 O 1.94-2.06
Co (0.0901, 0.3036, 0.1433)  4 O 1.94-2.06
Co (0.1911, 0.9544, 0.8886)  4 O 2.00
Co (0.1922, 0.4557, 0.8902)  4 O 2.00-2.01
Co (0.1929, 0.4575, 0.3919)  4 O 1.99-2.04
Co (0.1930, 0.9563, 0.3925)  5 O 2.00-2.24
Co (0.3387, 0.6107, 0.6361)  4 O 1.94-2.07
Co (0.3414, 0.1100, 0.6371)  4 O 1.94-2.07
Co (0.3405, 0.1158, 0.1432)  4 O 1.94-2.06
Co (0.3423, 0.6113, 0.1440)  4 O 1.94-2.06
Co (0.4429, 0.2055, 0.8897)  4 O 1.99-2.01
Co (0.4435, 0.2061, 0.3928)  4 O 2.01-2.03
Co (0.4425, 0.7051, 0.8899)  4 O 2.00-2.01
Co (0.4442, 0.7064, 0.3928)  4 O 2.00-2.01
Co (0.5893, 0.2957, 0.6376)  4 O 1.94-2.06
Co (0.5915, 0.7995, 0.6378)  4 O 1.94-2.07
Co (0.5940, 0.7988, 0.1441)  4 O 1.94-2.06
Co (0.5946, 0.3037, 0.1432)  4 O 1.95-2.06
Co (0.6919, 0.4545, 0.8893)  4 O 2.00
Co (0.6925, 0.9562, 0.8901)  4 O 2.00-2.01
Co (0.6943, 0.4577, 0.3921)  4 O 1.99-2.02
Co (0.6941, 0.9564, 0.3928)  5 O 2.00-2.24
Co (0.8374, 0.1090, 0.6373)  4 O 1.94-2.07
Co (0.8393, 0.6128, 0.6373)  4 O 1.94-2.06
Co (0.8405, 0.1158, 0.1423)  4 O 1.95-2.06
Co (0.8421, 0.6114, 0.1440)  4 O 1.92-2.06
Co (0.9411, 0.7058, 0.8890)  4 O 2.00-2.01
Co (0.9419, 0.2057, 0.8900)  4 O 1.99
Co (0.9432, 0.2065, 0.3923)  5 O 2.01-2.24
Co (0.9441, 0.7070, 0.3913)  4 O 1.95-1.98
O (0.0251, 0.1317, 0.6348)  2 Co 2.01-2.07
O (0.0261, 0.6308, 0.6336)  2 Co 2.01-2.06
O (0.0282, 0.1385, 0.1414)  2 Co 2.01-2.06
O (0.0320, 0.6359, 0.1470)  2 Co 2.01-2.06
O (0.0573, 0.8199, 0.8693)  2 Co 2.00
O (0.0583, 0.8147, 0.3700)  2 Co 1.95-2.05
O (0.0607, 0.3191, 0.8728)  2 Co 1.99-2.01
O (0.0606, 0.3212, 0.3731)  2 Co 2.00-2.01
O (0.0762, 0.0902, 0.9058)  2 Co 1.99-2.00
O (0.0782, 0.5923, 0.9079)  2 Co 2.00-2.01
O (0.0798, 0.5985, 0.4103)  2 Co 1.95-2.04
O (0.0821, 0.0952, 0.4134)  2 Co 2.01
O (0.0957, 0.4311, 0.2508)  1 Co 1.94
O (0.0973, 0.9238, 0.7466)  1 Co 1.96
O (0.0984, 0.9279, 0.2509)  1 Co 1.94
O (0.1072, 0.4239, 0.7473)  1 Co 1.95
O (0.2364, 0.4805, 0.5311)  1 Co 1.94
O (0.2376, 0.9798, 0.5317)  1 Co 1.94
O (0.2484, 0.9877, 0.0329)  1 Co 1.95
O (0.2493, 0.4843, 0.0331)  1 Co 1.95
O (0.2755, 0.7742, 0.6347)  2 Co 2.02-2.07
O (0.2768, 0.2729, 0.6344)  2 Co 2.02-2.07
O (0.2769, 0.7737, 0.1416)  2 Co 2.02-2.06
O (0.2807, 0.2820, 0.1474)  2 Co 2.01-2.06
O (0.3095, 0.8228, 0.3736)  2 Co 2.00-2.01
O (0.3114, 0.3244, 0.8726)  2 Co 2.00
O (0.3108, 0.8241, 0.8720)  2 Co 2.00-2.01
O (0.3139, 0.3281, 0.3723)  2 Co 2.00-2.03
O (0.3282, 0.0865, 0.9070)  2 Co 2.00-2.01
O (0.3289, 0.5871, 0.9084)  2 Co 2.00
O (0.3316, 0.5871, 0.4115)  2 Co 1.99-2.01
O (0.3339, 0.0885, 0.4157)  2 Co 2.01-2.02
O (0.3458, 0.5911, 0.2510)  1 Co 1.94
O (0.3563, 0.0913, 0.2509)  1 Co 1.94
O (0.3570, 0.0936, 0.7476)  1 Co 1.95
O (0.3581, 0.5939, 0.7474)  1 Co 1.96
O (0.4868, 0.3224, 0.5328)  1 Co 1.94
O (0.4877, 0.8226, 0.5322)  1 Co 1.94
O (0.4996, 0.3174, 0.0321)  1 Co 1.95
O (0.5015, 0.8170, 0.0338)  1 Co 1.95
O (0.5268, 0.6333, 0.6343)  2 Co 2.02-2.07
O (0.5281, 0.1394, 0.1411)  2 Co 2.02-2.06
O (0.5326, 0.1312, 0.6404)  2 Co 2.02-2.07
O (0.5326, 0.6373, 0.1479)  2 Co 2.01-2.06
O (0.5616, 0.3212, 0.3741)  2 Co 2.01
O (0.5616, 0.8194, 0.8725)  2 Co 2.00
O (0.5637, 0.3153, 0.8714)  2 Co 1.99-2.00
O (0.5651, 0.8150, 0.3727)  2 Co 2.00-2.01
O (0.5789, 0.5912, 0.9087)  2 Co 2.00
O (0.5830, 0.0966, 0.9097)  2 Co 1.99-2.01
O (0.5831, 0.5952, 0.4120)  2 Co 2.00
O (0.5844, 0.0973, 0.4161)  2 Co 2.01-2.02
O (0.5974, 0.4302, 0.2506)  1 Co 1.95
O (0.6074, 0.9276, 0.7485)  1 Co 1.96
O (0.6074, 0.9294, 0.2518)  1 Co 1.94
O (0.6077, 0.4254, 0.7476)  1 Co 1.95
O (0.7371, 0.4816, 0.5323)  1 Co 1.94
O (0.7367, 0.9788, 0.5315)  1 Co 1.94
O (0.7494, 0.9857, 0.0328)  1 Co 1.95
O (0.7502, 0.4833, 0.0327)  1 Co 1.96
O (0.7766, 0.2729, 0.6344)  2 Co 2.02-2.06
O (0.7818, 0.7798, 0.6397)  2 Co 2.02-2.07
O (0.7826, 0.2812, 0.1419)  2 Co 2.01-2.06
O (0.7840, 0.7780, 0.1464)  2 Co 2.02-2.06
O (0.8076, 0.3203, 0.8714)  2 Co 1.99-2.00
O (0.8113, 0.8261, 0.8684)  2 Co 2.00-2.01
O (0.8139, 0.3287, 0.3713)  2 Co 1.99-2.03
O (0.8140, 0.8232, 0.3712)  2 Co 1.98-2.03
O (0.8260, 0.0892, 0.9068)  2 Co 1.99-2.00
O (0.8289, 0.5869, 0.9084)  2 Co 2.00-2.01
O (0.8336, 0.0865, 0.4129)  2 Co 2.00-2.01
O (0.8337, 0.5899, 0.4108)  2 Co 1.98-2.02
O (0.8441, 0.5881, 0.2487)  1 Co 1.92
O (0.8493, 0.0922, 0.7474)  1 Co 1.95
O (0.8568, 0.0902, 0.2502)  1 Co 1.95
O (0.8573, 0.5922, 0.7472)  1 Co 1.96
O (0.9860, 0.3225, 0.5310)  1 Co 1.94
O (0.9861, 0.8237, 0.5327)  1 Co 1.92
O (0.9907, 0.3164, 0.0325)  1 Co 1.95
O (0.9980, 0.8170, 0.0325)  1 Co 1.96

Entry from the Materials Project: a geometry-optimized SrLaCoO4 structure (PBE with a Hubbard U).

## Properties
DFT formation energy: -2.74 eV/atom
Volume: 13.5 Å³/atom
Electronic total energy: -6.902 eV per atom
ΔE to the lowest computed polymorph: 0.029 eV per atom

a b c (Å): 3.8536 7.6853 12.8099
angles (deg): 90.01 90.08 90.01
Last column: nearest neighbours and their distance in Å.
Space group P1 (No. 1)
Symmetry-distinct sites (fractional):
Sr (0.0000, 0.0000, 0.0000)  5 O 2.43-2.72
Sr (0.0003, 0.4964, 0.0009)  4 O 2.42-2.69
Sr (0.5015, 0.2471, 0.5013)  5 O 2.43-2.72
Sr (0.5015, 0.7492, 0.4993)  9 O 2.47-2.76
La (0.0007, 0.0029, 0.2861)  2 O 2.31-2.56
La (0.0006, 0.4934, 0.2858)  4 O 2.34-2.62
La (0.4993, 0.2503, 0.7851)  5 O 2.36-2.64
La (0.4993, 0.7457, 0.7859)  5 O 2.38-2.64
Co (0.0001, 0.4987, 0.6372)  4 O 1.87-1.94
Co (0.0002, 0.9977, 0.6406)  4 O 1.93-1.99
Co (0.5003, 0.2478, 0.1369)  4 O 1.88-1.94
Co (0.5004, 0.7483, 0.1396)  6 O 1.93-2.15
O (0.0004, 0.2485, 0.1515)  2 Co 1.94
O (0.0004, 0.4984, 0.4687)  1 Co 2.16, 1 La 2.34
O (0.0005, 0.4989, 0.8119)  1 Co 2.24, 1 Sr 2.42
O (0.0005, 0.7407, 0.6486)  2 Co 1.87-1.98
O (0.0003, 0.7478, 0.1465)  2 Co 1.93
O (0.0005, 0.2558, 0.6488)  2 Co 1.87-1.99
O (0.0019, 0.9980, 0.4665)  1 Co 2.23, 1 La 2.31
O (0.5002, 0.0041, 0.1474)  2 Co 1.88-1.97
O (0.5002, 0.2484, 0.9691)  1 Co 2.15, 1 La 2.36
O (0.5001, 0.4988, 0.6509)  2 Co 1.93-1.94
O (0.5000, 0.7478, 0.9718)  1 Co 2.15, 1 La 2.38
O (0.5006, 0.2490, 0.3114)  1 Co 2.24, 1 Sr 2.43
O (0.5005, 0.4922, 0.1477)  2 Co 1.88-1.97
O (0.5008, 0.7475, 0.3065)  1 Co 2.14
O (0.5006, 0.9976, 0.6458)  2 Co 1.93
O (0.9990, 0.9974, 0.8100)  1 Co 2.17

Entry from the Materials Project: a geometry-optimized Sr3LaCo2O8 structure (PBE with a Hubbard U).

## Properties
DFT formation energy: -2.56 eV/atom
Volume: 13.2 Å³/atom
Electronic total energy: -6.490 eV per atom

a b c (Å): 5.3788 5.4298 12.6688
angles (deg): 90.00 90.00 90.00
Last column: nearest neighbours and their distance in Å.
Space group Amm2 (No. 38)
Symmetry-distinct sites (fractional):
Sr (0.0000, 0.0000, 0.0000)  9 O 2.50-2.72
Sr (0.0000, 0.0000, 0.2867)  9 O 2.51-2.72
Sr (0.5000, 0.0000, 0.7883)  9 O 2.46-2.74
La (0.5000, 0.0000, 0.5018)  5 O 2.36-2.58
Co (0.0000, 0.0000, 0.6465)  6 O 1.88-2.05
Co (0.5000, 0.0000, 0.1468)  6 O 1.94-2.13
O (0.0000, 0.0000, 0.4848)  1 Co 2.05
O (0.0000, 0.0000, 0.8024)  1 Co 1.97
O (0.2508, 0.2417, 0.6416)  2 Co 1.88-1.94
O (0.5000, 0.0000, 0.3152)  1 Co 2.13, 1 La 2.36
O (0.5000, 0.0000, 0.9821)  1 Co 2.09